## i
# V4O5F7

A relaxed V4O5F7 crystal (GGA+U, the Materials Project database).

abc: 5.3594 5.3646 9.1709
angles: 74.05 90.04 60.18
Element x y z (fractional)
F 0.5669 0.2761 0.3476
F 0.5862 0.2408 0.9080
F 0.9084 0.7542 0.1582
F 0.0869 0.2399 0.4131
F 0.9076 0.7644 0.6028
F 0.0639 0.7445 0.8761
F 0.0734 0.2708 0.8385
O 0.9118 0.2631 0.1262
O 0.4165 0.2592 0.6279
O 0.5828 0.7523 0.3785
O 0.4083 0.7334 0.6602
O 0.3925 0.7730 0.0931
V 0.7572 0.4867 0.2375
V 0.0427 0.9826 0.0061
V 0.5052 0.9677 0.4933
V 0.2897 0.4912 0.7332

## ii
# V4O5F7

A relaxed V4O5F7 crystal (GGA+U, the Materials Project database).

abc: 5.1900 7.4439 5.4168
angles: 93.00 90.00 90.00
Element x y z (fractional)
O 0.1942 0.4618 0.7063
O 0.7823 0.5438 0.2961
O 0.0776 0.7500 0.0000
O 0.1942 0.0382 0.2937
O 0.7823 0.9562 0.7039
V 0.0286 0.5088 0.9652
V 0.5308 0.9940 0.5245
V 0.0286 0.9912 0.0348
V 0.5308 0.5060 0.4755
F 0.6945 0.5475 0.8026
F 0.5897 0.2500 0.5000
F 0.6945 0.9525 0.1974
F 0.3898 0.7500 0.5000
F 0.9128 0.2500 0.0000
F 0.2846 0.0535 0.7952
F 0.2846 0.4465 0.2048

## iii
# V4O5F7

A relaxed V4O5F7 crystal (GGA+U, the Materials Project database).

abc: 5.2415 5.3926 9.1755
angles: 73.12 90.18 60.93
Element x y z (fractional)
F 0.5618 0.7468 0.3735
F 0.0744 0.2617 0.8409
F 0.9024 0.7369 0.5908
F 0.4591 0.2263 0.6394
F 0.8992 0.7693 0.1578
F 0.9468 0.2666 0.1140
F 0.5816 0.2531 0.9224
O 0.0405 0.7720 0.8754
O 0.3996 0.7417 0.6600
O 0.6163 0.2440 0.3430
O 0.1146 0.2508 0.4035
O 0.3913 0.7604 0.0866
V 0.7426 0.4710 0.2546
V 0.4692 0.0177 0.4943
V 0.0379 0.9583 0.9955
V 0.2626 0.5235 0.7482

It turns out iii is the most stable, with the second structure 7 meV per atom higher.

## i
# VW2O8

A relaxed VW2O8 crystal (GGA+U, the Materials Project database).

abc: 5.8420 5.0261 10.3973
angles: 63.23 90.00 90.00
Element x y z (fractional)
W 0.8356 0.2679 0.9907
W 0.1644 0.7321 0.0093
W 0.1644 0.2679 0.4907
W 0.8356 0.7321 0.5093
V 0.3561 0.5000 0.7500
V 0.6439 0.5000 0.2500
O 0.1103 0.3277 0.1114
O 0.5979 0.2527 0.8798
O 0.8897 0.3277 0.6114
O 0.1102 0.8165 0.6079
O 0.5979 0.7473 0.6202
O 0.8897 0.6723 0.8886
O 0.1102 0.1835 0.8921
O 0.8898 0.8165 0.1079
O 0.3332 0.2951 0.6408
O 0.4021 0.7473 0.1202
O 0.8898 0.1835 0.3921
O 0.6668 0.7049 0.3592
O 0.6668 0.2951 0.1408
O 0.3332 0.7049 0.8592
O 0.1103 0.6723 0.3886
O 0.4021 0.2527 0.3798

## ii
# VW2O8

A relaxed VW2O8 crystal (GGA+U, the Materials Project database).

abc: 4.9487 5.2585 6.9974
angles: 109.22 91.19 104.83
Element x y z (fractional)
O 0.1318 0.7121 0.9714
O 0.5980 0.7665 0.1491
O 0.8682 0.2879 0.0286
O 0.8329 0.2921 0.5916
O 0.4020 0.2335 0.8509
O 0.3785 0.2447 0.2256
O 0.6215 0.7553 0.7744
O 0.1671 0.7079 0.4084
V 0.5000 0.0000 0.0000
W 0.2476 0.5239 0.1741
W 0.7524 0.4761 0.8259

It turns out i is the most stable, with the second structure 32 meV per atom higher.

## i
# BaNdFe2O5

A relaxed BaNdFe2O5 crystal (GGA+U, the Materials Project database).

abc: 4.0273 7.8381 8.0260
angles: 90.00 90.00 90.00
Element x y z (fractional)
O 0.0000 0.6925 0.2534
O 0.5000 0.0122 0.7529
O 0.0000 0.3075 0.7534
O 0.5000 0.6910 0.4968
O 0.5000 0.3099 0.5099
O 0.5000 0.9878 0.2529
O 0.0000 0.3080 0.2536
O 0.5000 0.6901 0.0099
O 0.5000 0.3090 0.9968
O 0.0000 0.6920 0.7536
Fe 0.5000 0.2721 0.2538
Fe 0.5000 0.2560 0.7533
Fe 0.5000 0.7279 0.7538
Fe 0.5000 0.7440 0.2533
Ba 0.0000 0.0000 0.5033
Ba 0.0000 0.0000 0.0033
Nd 0.0000 0.5004 0.5038
Nd 0.0000 0.4996 0.0038

## ii
# BaNdFe2O5

A relaxed BaNdFe2O5 crystal (GGA+U, the Materials Project database).

abc: 4.0393 7.8229 8.0274
angles: 90.00 90.00 90.00
Element x y z (fractional)
O 0.5000 0.3059 0.0098
O 0.0000 0.6919 0.2528
O 0.5000 0.3138 0.4975
O 0.5000 0.0119 0.2556
O 0.5000 0.9881 0.7556
O 0.0000 0.3081 0.7528
O 0.0000 0.3060 0.2536
O 0.5000 0.6941 0.5098
O 0.0000 0.6940 0.7536
O 0.5000 0.6862 0.9975
Nd 0.0000 0.5017 0.5026
Nd 0.0000 0.4983 0.0026
Ba 0.0000 0.9967 0.5027
Ba 0.0000 0.0033 0.0027
Fe 0.5000 0.7437 0.7547
Fe 0.5000 0.7274 0.2516
Fe 0.5000 0.2726 0.7516
Fe 0.5000 0.2563 0.2547

It turns out ii is the most stable, with the second structure 8 meV per atom higher.

## i
# MgMn3Cu2O8

A relaxed MgMn3Cu2O8 crystal (GGA+U, the Materials Project database).

abc: 5.3048 6.5495 6.5492
angles: 53.23 63.17 63.17
Element x y z (fractional)
Cu 0.4962 0.2500 0.2500
Cu 0.5039 0.7499 0.7500
Mn 0.4998 0.0001 0.0001
Mn 0.0000 0.2530 0.7470
Mn 0.0000 0.7470 0.2530
O 0.4295 0.6305 0.1378
O 0.5705 0.8621 0.3696
O 0.9504 0.4046 0.4046
O 0.5705 0.3696 0.8621
O 0.9455 0.9061 0.9060
O 0.0543 0.0940 0.0940
O 0.0497 0.5953 0.5953
O 0.4295 0.1378 0.6305
Mg 0.5001 0.4999 0.4999

## ii
# MgMn3Cu2O8

A relaxed MgMn3Cu2O8 crystal (GGA+U, the Materials Project database).

abc: 5.3559 5.8538 5.7586
angles: 58.96 84.42 83.26
Element x y z (fractional)
Mn 0.5001 0.9999 0.9999
Mn 0.9888 0.7629 0.2768
Mn 0.0113 0.2372 0.7232
O 0.6693 0.3834 0.9154
O 0.3713 0.0933 0.6413
O 0.8721 0.4169 0.3774
O 0.3307 0.6163 0.0851
O 0.6286 0.9070 0.3585
O 0.8460 0.8945 0.9165
O 0.1278 0.5833 0.6228
O 0.1543 0.1054 0.0835
Cu 0.5265 0.2716 0.2810
Cu 0.4731 0.7282 0.7188
Mg 0.9999 0.5000 0.0001

It turns out ii is the most stable, with the second structure 11 meV per atom higher.

## i
# NiSO10

A relaxed NiSO10 crystal (GGA+U, the Materials Project database).

abc: 6.5437 6.5437 15.3931
angles: 90.00 90.00 90.00
Element x y z (fractional)
O 0.6256 0.6174 0.4202
O 0.8744 0.1174 0.3298
O 0.8455 0.4187 0.6595
O 0.5109 0.6928 0.1787
O 0.1928 0.9891 0.4287
O 0.4446 0.2161 0.4349
O 0.5640 0.1740 0.2549
O 0.6545 0.9187 0.0905
O 0.3072 0.4891 0.3213
O 0.7839 0.5554 0.0651
O 0.9446 0.2839 0.8151
O 0.0640 0.3260 0.9951
O 0.3260 0.0640 0.0049
O 0.8072 0.0109 0.9287
O 0.0554 0.7161 0.3151
O 0.1740 0.5640 0.7451
O 0.7161 0.0554 0.6849
O 0.8826 0.1256 0.1702
O 0.2839 0.9446 0.1849
O 0.2161 0.4446 0.5651
O 0.8260 0.4360 0.2451
O 0.0813 0.3455 0.4095
O 0.6740 0.9360 0.5049
O 0.6928 0.5109 0.8213
O 0.1256 0.8826 0.8298
O 0.9360 0.6740 0.4951
O 0.3826 0.3744 0.0798
O 0.1174 0.8744 0.6702
O 0.3455 0.0813 0.5905
O 0.6174 0.6256 0.5798
O 0.5813 0.1545 0.8405
O 0.9891 0.1928 0.5713
O 0.3744 0.3826 0.9202
O 0.5554 0.7839 0.9349
O 0.1545 0.5813 0.1595
O 0.9187 0.6545 0.9095
O 0.4891 0.3072 0.6787
O 0.4360 0.8260 0.7549
O 0.4187 0.8455 0.3405
O 0.0109 0.8072 0.0713
S 0.2140 0.7860 0.7500
S 0.7140 0.7140 0.5000
S 0.7860 0.2140 0.2500
S 0.2860 0.2860 0.0000
Ni 0.7162 0.2838 0.7500
Ni 0.2838 0.7162 0.2500
Ni 0.2162 0.2162 0.5000
Ni 0.7838 0.7838 0.0000

## ii
# NiSO10

A relaxed NiSO10 crystal (GGA+U, the Materials Project database).

abc: 6.3628 6.3628 15.9661
angles: 90.00 90.00 90.00
Element x y z (fractional)
Ni 0.2847 0.2847 0.5000
Ni 0.7847 0.2153 0.2500
Ni 0.2153 0.7847 0.7500
Ni 0.7153 0.7153 0.0000
O 0.9281 0.3554 0.1652
O 0.1098 0.1177 0.0759
O 0.5284 0.3011 0.4372
O 0.9439 0.7227 0.0677
O 0.8902 0.8823 0.5759
O 0.6098 0.3823 0.6741
O 0.6446 0.0719 0.3348
O 0.9716 0.8011 0.8128
O 0.8823 0.8902 0.4241
O 0.9428 0.3249 0.7454
O 0.0719 0.6446 0.6652
O 0.4428 0.1751 0.0046
O 0.5561 0.2227 0.1823
O 0.0572 0.6751 0.2454
O 0.3554 0.9281 0.8348
O 0.1177 0.1098 0.9241
O 0.4716 0.6989 0.9372
O 0.6989 0.4716 0.0628
O 0.6751 0.0572 0.7546
O 0.7227 0.9439 0.9323
O 0.4439 0.7773 0.6823
O 0.4281 0.1446 0.5848
O 0.7773 0.4439 0.3177
O 0.6177 0.3902 0.8259
O 0.3011 0.5284 0.5628
O 0.1446 0.4281 0.4152
O 0.5572 0.8249 0.5046
O 0.8011 0.9716 0.1872
O 0.8554 0.5719 0.9152
O 0.0284 0.1989 0.3128
O 0.3823 0.6098 0.3259
O 0.3902 0.6177 0.1741
O 0.5719 0.8554 0.0848
O 0.0561 0.2773 0.5677
O 0.1751 0.4428 0.9954
O 0.1989 0.0284 0.6872
O 0.3249 0.9428 0.2546
O 0.2227 0.5561 0.8177
O 0.8249 0.5572 0.4954
O 0.2773 0.0561 0.4323
S 0.2123 0.2123 0.0000
S 0.2877 0.7123 0.2500
S 0.7877 0.7877 0.5000
S 0.7123 0.2877 0.7500

It turns out i is the most stable, with the second structure 9 meV per atom higher.

## i
# Li2MgCo3O8

A relaxed Li2MgCo3O8 crystal (GGA+U, the Materials Project database).

abc: 5.7443 5.9565 8.2038
angles: 88.61 90.00 89.99
Element x y z (fractional)
O 0.0003 0.5324 0.2616
O 0.2326 0.2753 0.5201
O 0.2667 0.7723 0.0234
O 0.7676 0.2753 0.5203
O 0.5000 0.4518 0.7472
O 0.4996 0.9619 0.2545
O 0.4998 0.0381 0.7455
O 0.7335 0.2275 0.9765
O 0.7676 0.7248 0.4797
O 0.2326 0.7246 0.4799
O 0.5000 0.5482 0.2528
O 0.7334 0.7726 0.0233
O 0.2668 0.2276 0.9767
O 0.0003 0.4676 0.7384
O 0.0000 0.0501 0.7516
O 0.9998 0.9499 0.2484
Li 0.0004 0.5000 0.0000
Li 0.9996 0.0000 0.5000
Li 0.5003 0.0000 0.5000
Li 0.4997 0.5000 0.0000
Co 0.0001 0.5000 0.5000
Co 0.4997 0.0000 0.0000
Co 0.2500 0.2503 0.7466
Co 0.7496 0.7495 0.2526
Co 0.7497 0.2505 0.7474
Co 0.2500 0.7496 0.2534
Mg 0.5003 0.5000 0.5000
Mg 0.0002 0.0000 0.0000

## ii
# Li2MgCo3O8

A relaxed Li2MgCo3O8 crystal (GGA+U, the Materials Project database).

abc: 5.6731 5.6731 5.9024
angles: 61.90 61.90 60.69
Element x y z (fractional)
Co 0.5000 0.5000 0.0000
Co 0.5000 0.0000 0.0000
Co 0.0000 0.5000 0.0000
O 0.2642 0.2642 0.2023
O 0.7358 0.7358 0.7977
O 0.7120 0.2484 0.7979
O 0.7516 0.2880 0.2021
O 0.2880 0.7516 0.2021
O 0.2484 0.7120 0.7979
O 0.2414 0.2414 0.7869
O 0.7586 0.7586 0.2131
Li 0.0000 0.5000 0.5000
Li 0.5000 0.0000 0.5000
Mg 0.0000 0.0000 0.0000

It turns out i is the most stable, with the second structure 159 meV per atom higher.